# 1
! Ba2CdGe2O7 GGA-PBE optimized geometry; values from VASP
! electronic total energy	-6.1605	eV per atom
&SYSTEM
  ibrav = 0, nat = 24, ntyp = 4
/
ATOMIC_SPECIES
Ba 137.33 Ba.upf
Cd 112.41 Cd.upf
Ge 72.64 Ge.upf
O 16.00 O.upf
CELL_PARAMETERS angstrom
8.7372 0.0000 0.0000
0.0000 8.7372 0.0000
0.0000 0.0000 5.6666
ATOMIC_POSITIONS angstrom
Ba 1.4512 2.9173 0.0294
Ba 2.9173 7.2859 5.6373
Ba 5.8198 1.4512 5.6373
Ba 7.2859 5.8198 0.0294
Cd 0.0000 0.0000 2.8333
Cd 4.3686 4.3686 2.8333
Ge 1.2012 5.5698 3.1441
Ge 3.1674 1.2012 2.5225
Ge 5.5698 7.5360 2.5225
Ge 7.5360 3.1674 3.1441
O 0.0000 4.3686 3.8067
O 0.6818 7.0266 4.0302
O 1.2218 5.5903 1.4070
O 1.7106 0.6818 1.6365
O 2.6580 5.0504 4.0302
O 3.1468 1.2218 4.2597
O 3.6868 2.6580 1.6365
O 4.3686 0.0000 1.8599
O 5.0504 6.0792 1.6365
O 5.5903 7.5154 4.2597
O 6.0792 3.6868 4.0302
O 7.0266 8.0554 1.6365
O 7.5154 3.1468 1.4070
O 8.0554 1.7106 4.0302

# 2
! KPm3 GGA-PBE optimized geometry; values from VASP
! total moment	0.15	μB per atom
! electronic total energy	-3.3719	eV per atom
&SYSTEM
  ibrav = 0, nat = 4, ntyp = 2
/
ATOMIC_SPECIES
K 39.10 K.upf
Pm 145.00 Pm.upf
CELL_PARAMETERS angstrom
-2.6326 2.6326 5.4983
2.6326 -2.6326 5.4983
2.6326 2.6326 -5.4983
ATOMIC_POSITIONS angstrom
K 0.0000 0.0000 0.0000
Pm 2.6326 0.0000 2.7492
Pm 0.0000 0.0000 5.4983
Pm 0.0000 2.6326 2.7492

> Which of these has the highest electronic total energy?

KPm3

Please write out number 1 again, unchanged.
! Ba2CdGe2O7 GGA-PBE optimized geometry; values from VASP
! electronic total energy	-6.1605	eV per atom
&SYSTEM
  ibrav = 0, nat = 24, ntyp = 4
/
ATOMIC_SPECIES
Ba 137.33 Ba.upf
Cd 112.41 Cd.upf
Ge 72.64 Ge.upf
O 16.00 O.upf
CELL_PARAMETERS angstrom
8.7372 0.0000 0.0000
0.0000 8.7372 0.0000
0.0000 0.0000 5.6666
ATOMIC_POSITIONS angstrom
Ba 1.4512 2.9173 0.0294
Ba 2.9173 7.2859 5.6373
Ba 5.8198 1.4512 5.6373
Ba 7.2859 5.8198 0.0294
Cd 0.0000 0.0000 2.8333
Cd 4.3686 4.3686 2.8333
Ge 1.2012 5.5698 3.1441
Ge 3.1674 1.2012 2.5225
Ge 5.5698 7.5360 2.5225
Ge 7.5360 3.1674 3.1441
O 0.0000 4.3686 3.8067
O 0.6818 7.0266 4.0302
O 1.2218 5.5903 1.4070
O 1.7106 0.6818 1.6365
O 2.6580 5.0504 4.0302
O 3.1468 1.2218 4.2597
O 3.6868 2.6580 1.6365
O 4.3686 0.0000 1.8599
O 5.0504 6.0792 1.6365
O 5.5903 7.5154 4.2597
O 6.0792 3.6868 4.0302
O 7.0266 8.0554 1.6365
O 7.5154 3.1468 1.4070
O 8.0554 1.7106 4.0302

> Among the records above, which one has the highest electronic total energy?

KPm3